No. 1
The following is a DFT calculation (PBE with a Hubbard U) of a relaxed Li4Mn3Fe2Sn3O16 crystal.

a = 6.104 Å, b = 6.126 Å, c = 9.642 Å
α = 89.35°, β = 89.00°, γ = 60.36°
Fractional coordinates of all 28 atoms:
1 Li 0.325 0.332 0.114
2 Li 0.018 0.013 0.007
3 Li 0.011 0.010 0.499
4 Li 0.661 0.667 0.604
5 Mn 0.168 0.170 0.780
6 Mn 0.342 0.830 0.286
7 Mn 0.825 0.340 0.283
8 Fe 0.334 0.327 0.504
9 Fe 0.656 0.662 0.010
10 Sn 0.169 0.658 0.788
11 Sn 0.659 0.168 0.789
12 Sn 0.833 0.828 0.287
13 O 0.171 0.675 0.402
14 O 0.483 0.478 0.654
15 O 0.337 0.340 0.909
16 O 0.992 0.990 0.681
17 O 0.025 0.988 0.191
18 O 0.680 0.170 0.399
19 O 0.039 0.471 0.658
20 O 0.471 0.039 0.660
21 O 0.836 0.838 0.913
22 O 0.182 0.153 0.395
23 O 0.510 0.958 0.161
24 O 0.953 0.509 0.161
25 O 0.643 0.681 0.398
26 O 0.328 0.844 0.897
27 O 0.503 0.536 0.164
28 O 0.843 0.327 0.900

Calculated values
The value obtained for the magnetization is 21.00 μB/cell. As for the energy above the most stable polymorph in this dataset: 0.000 eV/atom. As for the electronic total energy: -6.40 eV per atom. As for the energy of formation from the pure elements: -2012.4 meV per atom.

No. 2
The following is a DFT calculation (PBE with a Hubbard U) of a relaxed Li2VP2O7 crystal.

a = 5.292 Å, b = 6.641 Å, c = 8.993 Å
α = 110.65°, β = 95.03°, γ = 107.12°
Fractional coordinates of all 24 atoms:
1 Li 0.111 0.756 0.016
2 Li 0.329 0.189 0.743
3 Li 0.671 0.811 0.257
4 Li 0.889 0.244 0.984
5 V 0.099 0.602 0.361
6 V 0.901 0.398 0.639
7 P 0.241 0.152 0.387
8 P 0.575 0.690 0.883
9 P 0.425 0.310 0.117
10 P 0.759 0.848 0.613
11 O 0.069 0.897 0.324
12 O 0.064 0.304 0.418
13 O 0.268 0.563 0.837
14 O 0.263 0.474 0.150
15 O 0.322 0.129 0.944
16 O 0.529 0.772 0.469
17 O 0.636 0.837 0.770
18 O 0.364 0.163 0.230
19 O 0.471 0.228 0.531
20 O 0.678 0.871 0.056
21 O 0.737 0.526 0.850
22 O 0.732 0.437 0.163
23 O 0.936 0.696 0.582
24 O 0.931 0.103 0.676

Calculated values
The value obtained for the magnetization is 6.00 μB/cell. As for the energy above the most stable polymorph in this dataset: 0.052 eV/atom. As for the electronic total energy: -6.94 eV per atom. As for the energy of formation from the pure elements: -2620.7 meV per atom.

No. 3
The following is a DFT calculation (PBE with a Hubbard U) of a relaxed LaFeBiO6 crystal.

a = 5.957 Å, b = 5.626 Å, c = 9.739 Å
α = 55.09°, β = 90.00°, γ = 90.00°
Fractional coordinates of all 18 atoms:
1 La 0.177 0.734 0.251
2 La 0.823 0.734 0.751
3 Fe 0.726 0.993 0.000
4 Fe 0.274 0.993 0.500
5 Bi 0.717 0.493 0.500
6 Bi 0.283 0.493 0.000
7 O 0.225 0.824 0.740
8 O 0.029 0.247 0.970
9 O 0.022 0.701 0.525
10 O 0.978 0.701 0.025
11 O 0.971 0.247 0.470
12 O 0.775 0.824 0.240
13 O 0.739 0.142 0.760
14 O 0.545 0.758 0.555
15 O 0.574 0.346 0.950
16 O 0.426 0.346 0.450
17 O 0.455 0.758 0.055
18 O 0.261 0.142 0.260

Calculated values
The value obtained for the magnetization is 0.00 μB/cell. As for the electronic total energy: -6.18 eV per atom. As for the energy of formation from the pure elements: -1666.5 meV per atom.

No. 4
The following is a DFT calculation (PBE with a Hubbard U) of a relaxed Li4V3P8O29 crystal.

a = 9.726 Å, b = 9.739 Å, c = 14.174 Å
α = 89.81°, β = 90.73°, γ = 119.61°
Fractional coordinates of all 88 atoms:
1 Li 0.905 0.669 0.054
2 Li 0.768 0.092 0.054
3 Li 0.326 0.233 0.059
4 Li 0.686 0.918 0.442
5 Li 0.333 0.100 0.562
6 Li 0.319 0.655 0.608
7 Li 0.003 0.000 0.984
8 Li 0.002 0.989 0.514
9 V 0.565 0.002 0.246
10 V 0.431 0.999 0.753
11 V 0.570 0.567 0.753
12 V 0.437 0.439 0.252
13 V 0.999 0.561 0.256
14 V 0.999 0.431 0.747
15 P 0.921 0.694 0.841
16 P 0.779 0.695 0.342
17 P 0.919 0.221 0.346
18 P 0.668 0.337 0.132
19 P 0.662 0.332 0.630
20 P 0.780 0.087 0.839
21 P 0.683 0.905 0.659
22 P 0.311 0.228 0.845
23 P 0.691 0.774 0.156
24 P 0.316 0.089 0.345
25 P 0.216 0.913 0.164
26 P 0.338 0.670 0.369
27 P 0.331 0.664 0.867
28 P 0.086 0.783 0.656
29 P 0.218 0.307 0.661
30 P 0.083 0.305 0.161
31 O 0.998 0.802 0.576
32 O 0.914 0.655 0.335
33 O 0.787 0.780 0.073
34 O 0.746 0.659 0.830
35 O 0.924 0.539 0.827
36 O 0.814 0.488 0.178
37 O 0.919 0.381 0.329
38 O 0.993 0.205 0.078
39 O 0.919 0.259 0.826
40 O 0.653 0.472 0.680
41 O 0.619 0.537 0.329
42 O 0.813 0.341 0.678
43 O 0.671 0.348 0.027
44 O 0.668 0.343 0.526
45 O 0.676 0.188 0.168
46 O 0.466 0.384 0.830
47 O 0.515 0.330 0.174
48 O 0.744 0.084 0.335
49 O 0.794 0.993 0.749
50 O 0.769 0.980 0.570
51 O 0.804 0.021 0.929
52 O 0.622 0.085 0.828
53 O 0.515 0.180 0.666
54 O 0.658 0.914 0.157
55 O 0.472 0.090 0.328
56 O 0.345 0.261 0.326
57 O 0.796 0.799 0.250
58 O 0.789 0.791 0.426
59 O 0.204 0.196 0.584
60 O 0.651 0.732 0.666
61 O 0.522 0.898 0.670
62 O 0.345 0.090 0.830
63 O 0.489 0.816 0.333
64 O 0.379 0.918 0.173
65 O 0.202 0.005 0.084
66 O 0.241 0.030 0.438
67 O 0.195 0.983 0.262
68 O 0.261 0.919 0.659
69 O 0.477 0.661 0.820
70 O 0.535 0.616 0.171
71 O 0.329 0.809 0.824
72 O 0.329 0.651 0.970
73 O 0.333 0.661 0.474
74 O 0.189 0.668 0.323
75 O 0.372 0.468 0.668
76 O 0.335 0.521 0.322
77 O 0.080 0.738 0.163
78 O 0.015 0.806 0.755
79 O 0.988 0.778 0.932
80 O 0.092 0.626 0.664
81 O 0.185 0.518 0.816
82 O 0.076 0.460 0.174
83 O 0.258 0.344 0.161
84 O 0.229 0.211 0.936
85 O 0.195 0.215 0.760
86 O 0.079 0.344 0.659
87 O 0.995 0.209 0.434
88 O 0.008 0.205 0.255

Calculated values
The value obtained for the magnetization is 2.00 μB/cell. As for the energy above the most stable polymorph in this dataset: 0.012 eV/atom. As for the electronic total energy: -7.04 eV per atom. As for the energy of formation from the pure elements: -2571.1 meV per atom.

No. 5
The following is a DFT calculation (PBE with a Hubbard U) of a relaxed Li4CoP2O8 crystal.

a = 10.425 Å, b = 8.207 Å, c = 8.243 Å
α = 75.19°, β = 90.00°, γ = 90.00°
Fractional coordinates of all 60 atoms:
1 Li 0.427 0.228 0.522
2 Li 0.927 0.272 0.478
3 Li 0.652 0.850 0.149
4 Li 0.663 0.343 0.655
5 Li 0.348 0.150 0.851
6 Li 0.664 0.100 0.398
7 Li 0.152 0.650 0.851
8 Li 0.836 0.600 0.398
9 Li 0.163 0.157 0.345
10 Li 0.073 0.728 0.522
11 Li 0.848 0.350 0.149
12 Li 0.837 0.843 0.655
13 Li 0.164 0.400 0.602
14 Li 0.337 0.657 0.345
15 Li 0.336 0.900 0.602
16 Li 0.573 0.772 0.478
17 Co 0.656 0.589 0.906
18 Co 0.844 0.089 0.906
19 Co 0.156 0.911 0.094
20 Co 0.344 0.411 0.094
21 P 0.592 0.474 0.290
22 P 0.092 0.026 0.710
23 P 0.908 0.974 0.290
24 P 0.907 0.465 0.768
25 P 0.408 0.526 0.710
26 P 0.093 0.535 0.232
27 P 0.593 0.965 0.768
28 P 0.407 0.035 0.232
29 O 0.670 0.115 0.804
30 O 0.604 0.815 0.928
31 O 0.830 0.615 0.804
32 O 0.650 0.629 0.339
33 O 0.899 0.813 0.438
34 O 0.167 0.059 0.863
35 O 0.396 0.185 0.072
36 O 0.047 0.521 0.726
37 O 0.447 0.509 0.245
38 O 0.547 0.979 0.274
39 O 0.953 0.479 0.274
40 O 0.399 0.687 0.562
41 O 0.845 0.412 0.617
42 O 0.345 0.088 0.383
43 O 0.850 0.129 0.339
44 O 0.453 0.021 0.726
45 O 0.155 0.588 0.383
46 O 0.333 0.559 0.863
47 O 0.947 0.991 0.755
48 O 0.101 0.187 0.562
49 O 0.350 0.371 0.661
50 O 0.053 0.009 0.245
51 O 0.150 0.871 0.661
52 O 0.667 0.441 0.137
53 O 0.170 0.385 0.196
54 O 0.601 0.313 0.438
55 O 0.655 0.912 0.617
56 O 0.330 0.885 0.196
57 O 0.896 0.315 0.928
58 O 0.553 0.491 0.755
59 O 0.104 0.685 0.072
60 O 0.833 0.941 0.137

Calculated values
The value obtained for the magnetization is 12.00 μB/cell. As for the energy above the most stable polymorph in this dataset: 0.000 eV/atom. As for the electronic total energy: -6.46 eV per atom. As for the energy of formation from the pure elements: -2590.9 meV per atom.

No. 6
The following is a DFT calculation (PBE with a Hubbard U) of a relaxed MgV3SnO8 crystal.

a = 6.682 Å, b = 6.697 Å, c = 6.834 Å
α = 73.12°, β = 106.89°, γ = 145.16°
Fractional coordinates of all 13 atoms:
1 Mg 0.787 0.156 0.990
2 V 0.368 0.582 0.330
3 V 0.640 0.449 0.693
4 V 0.272 0.683 0.692
5 Sn 0.662 0.289 0.293
6 O 0.101 0.846 0.689
7 O 0.209 0.743 0.368
8 O 0.324 0.622 0.996
9 O 0.434 0.554 0.637
10 O 0.532 0.426 0.385
11 O 0.625 0.319 0.988
12 O 0.737 0.218 0.673
13 O 0.830 0.122 0.295

Calculated values
The value obtained for the magnetization is 5.00 μB/cell. As for the energy above the most stable polymorph in this dataset: 0.000 eV/atom. As for the electronic total energy: -7.14 eV per atom. As for the energy of formation from the pure elements: -2386.6 meV per atom.

No. 7
The following is a DFT calculation (PBE with a Hubbard U) of a relaxed MgP2WO7 crystal.

a = 5.579 Å, b = 6.683 Å, c = 8.004 Å
α = 99.67°, β = 88.60°, γ = 108.68°
Fractional coordinates of all 22 atoms:
1 Mg 0.656 0.661 0.373
2 Mg 0.344 0.339 0.627
3 P 0.828 0.672 0.881
4 P 0.172 0.328 0.119
5 P 0.796 0.216 0.389
6 P 0.204 0.784 0.611
7 W 0.706 0.148 0.828
8 W 0.294 0.852 0.172
9 O 0.911 0.695 0.066
10 O 0.089 0.305 0.934
11 O 0.731 0.842 0.839
12 O 0.269 0.158 0.161
13 O 0.632 0.449 0.818
14 O 0.368 0.551 0.182
15 O 0.384 0.655 0.555
16 O 0.616 0.345 0.445
17 O 0.001 0.238 0.518
18 O 0.999 0.762 0.482
19 O 0.918 0.322 0.226
20 O 0.347 0.025 0.677
21 O 0.653 0.975 0.323
22 O 0.082 0.678 0.774

Calculated values
The value obtained for the magnetization is 2.00 μB/cell. As for the energy above the most stable polymorph in this dataset: 0.110 eV/atom. As for the electronic total energy: -6.91 eV per atom. As for the energy of formation from the pure elements: -2296.6 meV per atom.

No. 8
The following is a DFT calculation (PBE with a Hubbard U) of a relaxed Sr2HfMgCrO6 crystal.

a = 6.563 Å, b = 6.563 Å, c = 6.563 Å
α = 76.09°, β = 128.71°, γ = 127.95°
Fractional coordinates of all 11 atoms:
1 Sr 0.500 0.321 0.821
2 Sr 0.500 0.679 0.179
3 Hf 0.000 0.500 0.500
4 Mg 0.500 0.000 0.500
5 Cr 0.000 0.000 0.000
6 O 0.000 0.296 0.296
7 O 0.000 0.704 0.704
8 O 0.491 0.244 0.247
9 O 0.509 0.756 0.753
10 O 0.004 0.756 0.247
11 O 0.996 0.244 0.753

Calculated values
The value obtained for the magnetization is 4.00 μB/cell. As for the energy above the most stable polymorph in this dataset: 0.132 eV/atom. As for the electronic total energy: -7.27 eV per atom. As for the energy of formation from the pure elements: -2890.2 meV per atom.